# 1
# CaTa4O14

CaTa4O14 after structural relaxation (PBE, the Materials Project). Values from VASP.

```
&SYSTEM
  ibrav = 0, nat = 19, ntyp = 3
/
ATOMIC_SPECIES
O 16.00 O.upf
Ta 180.95 Ta.upf
Ca 40.08 Ca.upf
CELL_PARAMETERS angstrom
-6.4782 -0.9443 3.7139
-2.1440 -6.8316 2.3205
-0.0184 -1.7463 7.3214
ATOMIC_POSITIONS crystal
O 0.6834 0.0766 0.6834
O 0.6351 0.6351 0.6351
O 0.0598 0.6893 0.0598
O 0.9402 0.3107 0.9402
O 0.3166 0.9234 0.3166
O 0.3166 0.3166 0.9234
O 0.6893 0.0598 0.0598
O 0.0598 0.0598 0.6893
O 0.3107 0.9402 0.9402
O 0.0766 0.6834 0.6834
O 0.6834 0.6834 0.0766
O 0.9234 0.3166 0.3166
O 0.9402 0.9402 0.3107
O 0.3649 0.3649 0.3649
Ta 0.0000 0.0000 0.5000
Ta 0.5000 0.0000 0.0000
Ta 0.0000 0.0000 0.0000
Ta 0.0000 0.5000 0.0000
Ca 0.5000 0.5000 0.5000
```

Raw total energy = -8.2884 eV/atom
Calculated formation energy = -2.5468 eV per atom

=====

# 2
# Ca4Ta2O9

Ca4Ta2O9 after structural relaxation (PBE, the Materials Project). Values from VASP.

```
&SYSTEM
  ibrav = 0, nat = 60, ntyp = 3
/
ATOMIC_SPECIES
O 16.00 O.upf
Ca 40.08 Ca.upf
Ta 180.95 Ta.upf
CELL_PARAMETERS angstrom
5.5781 0.0000 0.0000
0.0000 9.9067 0.0000
0.0000 9.6664 14.2589
ATOMIC_POSITIONS crystal
O 0.8210 0.8781 0.6010
O 0.8830 0.9432 0.8935
O 0.8302 0.3286 0.0530
O 0.3302 0.6714 0.4470
O 0.6170 0.9432 0.3935
O 0.6970 0.5462 0.7498
O 0.6698 0.3286 0.5530
O 0.6150 0.6224 0.0763
O 0.0905 0.7238 0.7650
O 0.1970 0.4538 0.7502
O 0.2898 0.9797 0.7821
O 0.2973 0.3013 0.1290
O 0.7110 0.2361 0.4035
O 0.1698 0.6714 0.9470
O 0.1790 0.1219 0.3990
O 0.3210 0.1219 0.8990
O 0.2110 0.7639 0.0965
O 0.7102 0.0203 0.2179
O 0.2102 0.9797 0.2821
O 0.1170 0.0568 0.1065
O 0.7027 0.6987 0.8710
O 0.8030 0.5462 0.2498
O 0.7973 0.6987 0.3710
O 0.5905 0.2762 0.7350
O 0.9095 0.2762 0.2350
O 0.2027 0.3013 0.6290
O 0.3850 0.3776 0.9237
O 0.3030 0.4538 0.2502
O 0.1150 0.3776 0.4237
O 0.4095 0.7238 0.2650
O 0.7898 0.0203 0.7179
O 0.8850 0.6224 0.5763
O 0.6790 0.8781 0.1010
O 0.7890 0.2361 0.9035
O 0.2890 0.7639 0.5965
O 0.3830 0.0568 0.6065
Ca 0.5000 0.5000 0.0000
Ca 0.0180 0.5477 0.1053
Ca 0.4820 0.5477 0.6053
Ca 0.5180 0.4523 0.3947
Ca 0.0000 0.5000 0.5000
Ca 0.0000 0.0000 0.0000
Ca 0.9820 0.4523 0.8947
Ca 0.0021 0.2150 0.7700
Ca 0.5000 0.0000 0.5000
Ca 0.0167 0.8794 0.4270
Ca 0.4979 0.2150 0.2700
Ca 0.4833 0.8794 0.9270
Ca 0.5021 0.7850 0.7300
Ca 0.9979 0.7850 0.2300
Ca 0.5167 0.1206 0.0730
Ca 0.9833 0.1206 0.5730
Ta 0.5098 0.8315 0.3363
Ta 0.4912 0.3259 0.8359
Ta 0.9902 0.8315 0.8363
Ta 0.5088 0.6741 0.1641
Ta 0.4902 0.1685 0.6637
Ta 0.0098 0.1685 0.1637
Ta 0.0088 0.3259 0.3359
Ta 0.9912 0.6741 0.6641
```

Raw total energy = -8.1589 eV/atom
Calculated formation energy = -3.4864 eV per atom

=====

# 3
# CaTa2O6

CaTa2O6 after structural relaxation (PBE, the Materials Project). Values from VASP.

```
&SYSTEM
  ibrav = 0, nat = 9, ntyp = 3
/
ATOMIC_SPECIES
O 16.00 O.upf
Ca 40.08 Ca.upf
Ta 180.95 Ta.upf
CELL_PARAMETERS angstrom
-3.0072 -1.0673 4.6140
-4.6086 -3.1819 -0.3293
-0.0122 -5.1564 2.2097
ATOMIC_POSITIONS crystal
O 0.5000 0.0000 0.5000
O 0.0000 0.0000 0.5000
O 0.0000 0.5000 0.0000
O 0.5000 0.5000 0.0000
O 0.0000 0.5000 0.5000
O 0.5000 0.0000 0.0000
Ca 0.5000 0.5000 0.5000
Ta 0.7500 0.7500 0.7500
Ta 0.2500 0.2500 0.2500
```

Raw total energy = -9.0827 eV/atom
Calculated formation energy = -3.3841 eV per atom

=====

# 4
# CaTa2O6

CaTa2O6 after structural relaxation (PBE, the Materials Project). Values from VASP.

```
&SYSTEM
  ibrav = 0, nat = 36, ntyp = 3
/
ATOMIC_SPECIES
Ta 180.95 Ta.upf
O 16.00 O.upf
Ca 40.08 Ca.upf
CELL_PARAMETERS angstrom
7.8569 0.0000 0.0000
0.0000 7.8569 0.0000
0.0000 0.0000 7.8569
ATOMIC_POSITIONS crystal
Ta 0.2493 0.2493 0.7507
Ta 0.7507 0.2493 0.7507
Ta 0.2493 0.2493 0.2493
Ta 0.7507 0.2493 0.2493
Ta 0.7507 0.7507 0.7507
Ta 0.2493 0.7507 0.2493
Ta 0.7507 0.7507 0.2493
Ta 0.2493 0.7507 0.7507
O 0.5000 0.2270 0.2763
O 0.5000 0.2270 0.7237
O 0.0000 0.7174 0.2113
O 0.0000 0.2826 0.2113
O 0.0000 0.7174 0.7887
O 0.7730 0.2763 0.5000
O 0.5000 0.7730 0.2763
O 0.2113 0.0000 0.2826
O 0.7237 0.5000 0.7730
O 0.7174 0.7887 0.0000
O 0.2826 0.2113 0.0000
O 0.2763 0.5000 0.2270
O 0.0000 0.2826 0.7887
O 0.2826 0.7887 0.0000
O 0.7237 0.5000 0.2270
O 0.7887 0.0000 0.7174
O 0.7174 0.2113 0.0000
O 0.7730 0.7237 0.5000
O 0.2113 0.0000 0.7174
O 0.7887 0.0000 0.2826
O 0.2270 0.7237 0.5000
O 0.2270 0.2763 0.5000
O 0.2763 0.5000 0.7730
O 0.5000 0.7730 0.7237
Ca 0.0000 0.5000 0.0000
Ca 0.0000 0.0000 0.5000
Ca 0.5000 0.5000 0.5000
Ca 0.5000 0.0000 0.0000
```

Raw total energy = -9.1089 eV/atom
Calculated formation energy = -3.4103 eV per atom

=====

# 5
# Ca2Ta2O7

Ca2Ta2O7 after structural relaxation (PBE, the Materials Project). Values from VASP.

```
&SYSTEM
  ibrav = 0, nat = 22, ntyp = 3
/
ATOMIC_SPECIES
Ca 40.08 Ca.upf
O 16.00 O.upf
Ta 180.95 Ta.upf
CELL_PARAMETERS angstrom
-7.3796 0.6927 0.7466
-3.5787 5.5856 -3.3896
-4.4777 -1.4111 -5.7840
ATOMIC_POSITIONS crystal
Ca 0.1250 0.1250 0.1250
Ca 0.1250 0.1250 0.6250
Ca 0.6250 0.1250 0.1250
Ca 0.1250 0.6250 0.1250
O 0.9419 0.9419 0.5581
O 0.2500 0.2500 0.2500
O 0.3081 0.6919 0.6919
O 0.6919 0.6919 0.3081
O 0.5581 0.9419 0.5581
O 0.6919 0.3081 0.6919
O 0.3081 0.3081 0.6919
O 0.5581 0.9419 0.9419
O 0.6919 0.3081 0.3081
O 0.5581 0.5581 0.9419
O 0.0000 0.0000 0.0000
O 0.9419 0.5581 0.5581
O 0.3081 0.6919 0.3081
O 0.9419 0.5581 0.9419
Ta 0.6250 0.6250 0.6250
Ta 0.6250 0.6250 0.1250
Ta 0.1250 0.6250 0.6250
Ta 0.6250 0.1250 0.6250
```

Raw total energy = -8.7164 eV/atom
Calculated formation energy = -3.4843 eV per atom

=====

# 6
# Ca4Ta2O9

Ca4Ta2O9 after structural relaxation (PBE, the Materials Project). Values from VASP.

```
&SYSTEM
  ibrav = 0, nat = 60, ntyp = 3
/
ATOMIC_SPECIES
Ta 180.95 Ta.upf
Ca 40.08 Ca.upf
O 16.00 O.upf
CELL_PARAMETERS angstrom
5.6908 0.0000 0.0000
0.0000 9.8335 0.0000
0.0000 0.0000 14.9485
ATOMIC_POSITIONS crystal
Ta 0.9968 0.0052 0.3527
Ta 0.4968 0.4948 0.3527
Ta 0.5032 0.4948 0.8527
Ta 0.9968 0.9948 0.1473
Ta 0.0032 0.9948 0.6473
Ta 0.0032 0.0052 0.8527
Ta 0.4968 0.5052 0.1473
Ta 0.5032 0.5052 0.6473
Ca 0.0116 0.3359 0.9876
Ca 0.9884 0.3359 0.4876
Ca 0.9942 0.6639 0.2974
Ca 0.0058 0.3361 0.7026
Ca 0.0116 0.6641 0.5124
Ca 0.4884 0.1641 0.4876
Ca 0.5058 0.1639 0.7026
Ca 0.9884 0.6641 0.0124
Ca 0.5058 0.8361 0.7974
Ca 0.5116 0.1641 0.9876
Ca 0.9942 0.3361 0.2026
Ca 0.4942 0.8361 0.2974
Ca 0.0058 0.6639 0.7974
Ca 0.5116 0.8359 0.5124
Ca 0.4884 0.8359 0.0124
Ca 0.4942 0.1639 0.2026
O 0.1656 0.8423 0.9018
O 0.1521 0.8521 0.5840
O 0.6257 0.6315 0.2471
O 0.6656 0.6577 0.9018
O 0.6656 0.3423 0.5982
O 0.8743 0.8685 0.7471
O 0.3047 0.0126 0.0925
O 0.3479 0.6479 0.0840
O 0.6953 0.9874 0.9075
O 0.1257 0.8685 0.2471
O 0.7371 0.0000 0.2500
O 0.1953 0.4874 0.5925
O 0.6521 0.3521 0.9160
O 0.8047 0.4874 0.0925
O 0.3344 0.3423 0.0982
O 0.8344 0.8423 0.4018
O 0.3743 0.3685 0.7529
O 0.8479 0.8521 0.0840
O 0.3344 0.6577 0.4018
O 0.3047 0.9874 0.4075
O 0.1257 0.1315 0.2529
O 0.8479 0.1479 0.4160
O 0.1656 0.1577 0.5982
O 0.7629 0.5000 0.7500
O 0.6953 0.0126 0.5925
O 0.2629 0.0000 0.7500
O 0.3743 0.6315 0.7471
O 0.1953 0.5126 0.9075
O 0.6521 0.6479 0.5840
O 0.3479 0.3521 0.4160
O 0.8047 0.5126 0.4075
O 0.6257 0.3685 0.2529
O 0.8344 0.1577 0.0982
O 0.8743 0.1315 0.7529
O 0.1521 0.1479 0.9160
O 0.2371 0.5000 0.2500
```

Raw total energy = -8.1155 eV/atom
Calculated formation energy = -3.4430 eV per atom

=====

# 7
# Ca4Ta2O9

Ca4Ta2O9 after structural relaxation (PBE, the Materials Project). Values from VASP.

```
&SYSTEM
  ibrav = 0, nat = 30, ntyp = 3
/
ATOMIC_SPECIES
O 16.00 O.upf
Ca 40.08 Ca.upf
Ta 180.95 Ta.upf
CELL_PARAMETERS angstrom
2.8339 -4.9084 0.0000
2.8339 4.9084 0.0000
0.0000 0.0000 14.9234
ATOMIC_POSITIONS crystal
O 0.9636 0.2859 0.5896
O 0.0000 0.7382 0.7500
O 0.0364 0.7141 0.4104
O 0.7141 0.6777 0.5896
O 0.2618 0.2618 0.7500
O 0.9636 0.6777 0.0896
O 0.6777 0.7141 0.9104
O 0.2859 0.9636 0.9104
O 0.7382 0.7382 0.2500
O 0.3223 0.2859 0.0896
O 0.3223 0.0364 0.5896
O 0.7382 0.0000 0.7500
O 0.6777 0.9636 0.4104
O 0.0364 0.3223 0.9104
O 0.2618 0.0000 0.2500
O 0.0000 0.2618 0.2500
O 0.7141 0.0364 0.0896
O 0.2859 0.3223 0.4104
Ca 0.6667 0.3333 0.4770
Ca 0.3333 0.6667 0.3046
Ca 0.6667 0.3333 0.6954
Ca 0.3333 0.6667 0.0230
Ca 0.3333 0.6667 0.5230
Ca 0.3333 0.6667 0.8046
Ca 0.6667 0.3333 0.1954
Ca 0.6667 0.3333 0.9770
Ta 0.0000 0.0000 0.3528
Ta 0.0000 0.0000 0.1472
Ta 0.0000 0.0000 0.6472
Ta 0.0000 0.0000 0.8528
```

Raw total energy = -8.1541 eV/atom
Calculated formation energy = -3.4816 eV per atom

=====

# 8
# Ca4Ta2O9

Ca4Ta2O9 after structural relaxation (PBE, the Materials Project). Values from VASP.

```
&SYSTEM
  ibrav = 0, nat = 30, ntyp = 3
/
ATOMIC_SPECIES
Ca 40.08 Ca.upf
O 16.00 O.upf
Ta 180.95 Ta.upf
CELL_PARAMETERS angstrom
-3.9646 2.9471 -2.9638
0.1063 0.3047 5.7534
9.2712 11.6052 -0.7612
ATOMIC_POSITIONS crystal
Ca 0.6601 0.3327 0.9050
Ca 0.3399 0.6673 0.0950
Ca 0.3344 0.6666 0.3438
Ca 0.0000 0.0000 0.0000
Ca 0.9993 0.0020 0.7448
Ca 0.0000 0.0000 0.5000
Ca 0.0007 0.9980 0.2552
Ca 0.6656 0.3334 0.6562
O 0.3472 0.2943 0.4007
O 0.7174 0.0677 0.0898
O 0.5751 0.9569 0.7531
O 0.7061 0.0516 0.4012
O 0.6340 0.7089 0.9154
O 0.4249 0.0431 0.2469
O 0.9397 0.6458 0.0890
O 0.9489 0.6558 0.3997
O 0.6528 0.7057 0.5993
O 0.2939 0.9484 0.5988
O 0.2826 0.9323 0.9102
O 0.0511 0.3442 0.6003
O 0.9609 0.3806 0.2478
O 0.3815 0.4233 0.7540
O 0.0391 0.6194 0.7522
O 0.3660 0.2911 0.0846
O 0.6185 0.5767 0.2460
O 0.0603 0.3542 0.9110
Ta 0.6715 0.3350 0.1508
Ta 0.6670 0.3327 0.3507
Ta 0.3285 0.6650 0.8492
Ta 0.3330 0.6673 0.6493
```

Raw total energy = -8.1227 eV/atom
Calculated formation energy = -3.4502 eV per atom